Entry 1:
Computed, not measured: a geometry-optimized SrMg6MnO8 structure at the PBE+U level of DFT.

Output
The calculation puts the electronic total energy at -6.0568 eV/atom. The relative energy among the computed polymorphs is 0.0 meV/atom.

The structure in CIF format:
```
data_SrMg6MnO8
_chemical_formula_sum 'Sr1 Mg6 Mn1 O8'
_symmetry_space_group_name_H-M 'P 4/m m m'
_symmetry_Int_Tables_number 123
_symmetry_space_group_name_Hall '-P 4 2'
_cell_length_a 4.5099
_cell_length_b 4.5099
_cell_length_c 8.8031
_cell_angle_alpha 90.00
_cell_angle_beta 90.00
_cell_angle_gamma 90.00
loop_
_atom_site_label
_atom_site_fract_x
_atom_site_fract_y
_atom_site_fract_z
_atom_site_occupancy
Sr1 0.0000 0.0000 0.0000 1
Mg1 0.0000 0.0000 0.5000 1
Mg2 0.0000 0.5000 0.2633 1
Mg3 0.5000 0.5000 0.5000 1
Mn1 0.5000 0.5000 0.0000 1
O1 0.0000 0.0000 0.2733 1
O2 0.0000 0.5000 0.0000 1
O3 0.0000 0.5000 0.5000 1
O4 0.5000 0.5000 0.2594 1
```



Entry 2:
Computed, not measured: a geometry-optimized FeCuBi2As2O12 structure at the PBE+U level of DFT.

Output
The calculation puts the electronic total energy at -5.7972 eV/atom.

The structure in CIF format:
```
data_FeCuBi2As2O12
_chemical_formula_sum 'Fe2 Cu2 Bi4 As4 O24'
_symmetry_space_group_name_H-M 'P -1'
_symmetry_Int_Tables_number 2
_cell_length_a 6.2855
_cell_length_b 9.1421
_cell_length_c 9.1845
_cell_angle_alpha 72.61
_cell_angle_beta 83.89
_cell_angle_gamma 81.70
loop_
_symmetry_equiv_pos_as_xyz
'x,y,z'
'-x,-y,-z'
loop_
_atom_site_label
_atom_site_fract_x
_atom_site_fract_y
_atom_site_fract_z
_atom_site_occupancy
Fe1 0.0000 0.0000 0.0000 1
Fe2 0.0000 0.0000 0.5000 1
Cu1 0.5000 0.0000 0.0000 1
Cu2 0.5000 0.0000 0.5000 1
Bi1 0.3156 0.6071 0.0987 1
Bi2 0.3176 0.6059 0.6000 1
As1 0.1895 0.2175 0.6537 1
As2 0.1895 0.2181 0.1538 1
O1 0.0235 0.8041 0.4401 1
O2 0.0230 0.8045 0.9397 1
O3 0.1330 0.3991 0.1758 1
O4 0.1352 0.3982 0.6769 1
O5 0.2112 0.0874 0.3293 1
O6 0.2106 0.0868 0.8292 1
O7 0.2546 0.9198 0.1047 1
O8 0.2546 0.9204 0.6049 1
O9 0.3838 0.5509 0.3720 1
O10 0.3855 0.5504 0.8716 1
O11 0.4360 0.1904 0.0509 1
O12 0.4361 0.1903 0.5509 1
```



Entry 3:
Computed, not measured: a geometry-optimized MgFe3P3O12 structure at the PBE+U level of DFT.

Output
The calculation puts the electronic total energy at -6.9726 eV/atom. The relative energy among the computed polymorphs is 41.9 meV/atom.

The structure in CIF format:
```
data_MgFe3P3O12
_chemical_formula_sum 'Mg1 Fe3 P3 O12'
_symmetry_space_group_name_H-M 'P 1'
_symmetry_Int_Tables_number 1
_cell_length_a 5.4272
_cell_length_b 5.4381
_cell_length_c 11.6983
_cell_angle_alpha 89.98
_cell_angle_beta 90.00
_cell_angle_gamma 61.39
loop_
_symmetry_equiv_pos_as_xyz
'x,y,z'
loop_
_atom_site_label
_atom_site_fract_x
_atom_site_fract_y
_atom_site_fract_z
_atom_site_occupancy
Mg1 0.0000 0.0000 0.0000 1
Fe1 0.9999 0.5003 0.8106 1
Fe2 0.5003 0.9997 0.1981 1
Fe3 0.5008 0.4998 0.5080 1
P1 0.0009 0.4999 0.3324 1
P2 0.5000 0.0000 0.6847 1
P3 0.5001 0.5000 0.0047 1
O1 0.1333 0.2375 0.2564 1
O2 0.2194 0.5281 0.4083 1
O3 0.2246 0.5934 0.9344 1
O4 0.2367 0.1243 0.7611 1
O5 0.4041 0.7765 0.0741 1
O6 0.4861 0.7739 0.6092 1
O7 0.5145 0.2246 0.6084 1
O8 0.5961 0.2234 0.0741 1
O9 0.7630 0.8767 0.7614 1
O10 0.7754 0.4068 0.9344 1
O11 0.7834 0.4724 0.4092 1
O12 0.8675 0.7619 0.2561 1
```



Entry 4:
Computed, not measured: a geometry-optimized K2TeW3O12 structure at the PBE+U level of DFT.

Output
The calculation puts the electronic total energy at -6.7063 eV/atom.

The structure in CIF format:
```
data_K2TeW3O12
_chemical_formula_sum 'K8 Te4 W12 O48'
_symmetry_space_group_name_H-M 'P n m a'
_symmetry_Int_Tables_number 62
_cell_length_a 11.9920
_cell_length_b 7.4076
_cell_length_c 12.8577
_cell_angle_alpha 90.00
_cell_angle_beta 90.00
_cell_angle_gamma 90.00
loop_
_symmetry_equiv_pos_as_xyz
'x,y,z'
'-x,-y,-z'
'-x+1/2,-y,z+1/2'
'x+1/2,y,-z+1/2'
'x+1/2,-y+1/2,-z+1/2'
'-x+1/2,y+1/2,z+1/2'
'-x,y+1/2,-z'
'x,-y+1/2,z'
loop_
_atom_site_label
_atom_site_fract_x
_atom_site_fract_y
_atom_site_fract_z
_atom_site_occupancy
K1 0.0446 0.2500 0.0833 1
K2 0.0628 0.7500 0.6169 1
Te1 0.0059 0.7500 0.1997 1
W1 0.2048 0.2500 0.5785 1
W2 0.2472 0.5022 0.8296 1
O1 0.0589 0.2500 0.5535 1
O2 0.0793 0.0623 0.8675 1
O3 0.1124 0.0482 0.2878 1
O4 0.1181 0.7500 0.0966 1
O5 0.1911 0.7500 0.8025 1
O6 0.1971 0.0658 0.6859 1
O7 0.2235 0.7500 0.3551 1
O8 0.2378 0.0644 0.4726 1
```



Entry 5:
Computed, not measured: a geometry-optimized Na2Li4Mn2C4SO16 structure at the PBE+U level of DFT.

Output
The calculation puts the electronic total energy at -6.7410 eV/atom.

The structure in CIF format:
```
data_Na2Li4Mn2C4SO16
_chemical_formula_sum 'Na16 Li32 Mn16 C32 S8 O128'
_symmetry_space_group_name_H-M 'F d d d'
_symmetry_Int_Tables_number 70
_cell_length_a 13.4944
_cell_length_b 14.0031
_cell_length_c 14.0117
_cell_angle_alpha 90.00
_cell_angle_beta 90.00
_cell_angle_gamma 90.00
loop_
_symmetry_equiv_pos_as_xyz
'x,y,z'
'-x,-y,-z'
'-x+1/4,-y+1/4,z'
'x+1/4,y+1/4,-z'
'x,-y+1/4,-z+1/4'
'-x,y+1/4,z+1/4'
'-x+1/4,y,-z+1/4'
'x+1/4,-y,z+1/4'
'x,y+1/2,z+1/2'
'-x,-y+1/2,-z+1/2'
'-x+1/4,-y+3/4,z+1/2'
'x+1/4,y+3/4,-z+1/2'
'x,-y+3/4,-z+3/4'
'-x,y+3/4,z+3/4'
'-x+1/4,y+1/2,-z+3/4'
'x+1/4,-y+1/2,z+3/4'
'x+1/2,y,z+1/2'
'-x+1/2,-y,-z+1/2'
'-x+3/4,-y+1/4,z+1/2'
'x+3/4,y+1/4,-z+1/2'
'x+1/2,-y+1/4,-z+3/4'
'-x+1/2,y+1/4,z+3/4'
'-x+3/4,y,-z+3/4'
'x+3/4,-y,z+3/4'
'x+1/2,y+1/2,z'
'-x+1/2,-y+1/2,-z'
'-x+3/4,-y+3/4,z'
'x+3/4,y+3/4,-z'
'x+1/2,-y+3/4,-z+1/4'
'-x+1/2,y+3/4,z+1/4'
'-x+3/4,y+1/2,-z+1/4'
'x+3/4,-y+1/2,z+1/4'
loop_
_atom_site_label
_atom_site_fract_x
_atom_site_fract_y
_atom_site_fract_z
_atom_site_occupancy
Na1 0.1250 0.3451 0.1250 1
Li1 0.0934 0.2573 0.3263 1
Mn1 0.0000 0.0000 0.5000 1
C1 0.0236 0.0273 0.7233 1
S1 0.1250 0.1250 0.1250 1
O1 0.0178 0.2806 0.5986 1
O2 0.0452 0.3420 0.9829 1
O3 0.0612 0.0625 0.0632 1
O4 0.0943 0.0202 0.7854 1
```



Entry 6:
Computed, not measured: a geometry-optimized Na2V2NiH4O6F6 structure at the PBE+U level of DFT.

Output
The calculation puts the electronic total energy at -5.4901 eV/atom.

The structure in CIF format:
```
data_Na2V2NiH4O6F6
_chemical_formula_sum 'Na4 V4 Ni2 H8 O12 F12'
_symmetry_space_group_name_H-M 'P 1 21/c 1'
_symmetry_Int_Tables_number 14
_cell_length_a 8.3308
_cell_length_b 5.3305
_cell_length_c 10.6379
_cell_angle_alpha 90.00
_cell_angle_beta 91.23
_cell_angle_gamma 90.00
loop_
_symmetry_equiv_pos_as_xyz
'x,y,z'
'-x,-y,-z'
'-x,y+1/2,-z+1/2'
'x,-y+1/2,z+1/2'
loop_
_atom_site_label
_atom_site_fract_x
_atom_site_fract_y
_atom_site_fract_z
_atom_site_occupancy
Na1 0.0376 0.0494 0.1641 1
V1 0.2110 0.5289 0.0082 1
Ni1 0.5000 0.0000 0.0000 1
H1 0.3412 0.5620 0.2863 1
H2 0.4953 0.5682 0.7384 1
O1 0.3044 0.6999 0.5461 1
O2 0.3542 0.1827 0.4869 1
O3 0.4563 0.5716 0.3084 1
F1 0.0206 0.2255 0.4702 1
F2 0.1665 0.0630 0.6792 1
F3 0.1694 0.6201 0.8379 1
```



Entry 7:
Computed, not measured: a geometry-optimized Ba2Ti4Fe2O13 structure at the PBE+U level of DFT.

Output
The calculation puts the electronic total energy at -7.8138 eV/atom.

The structure in CIF format:
```
data_Ba2Ti4Fe2O13
_chemical_formula_sum 'Ba4 Ti8 Fe4 O26'
_symmetry_space_group_name_H-M 'C 1 2/m 1'
_symmetry_Int_Tables_number 12
_cell_length_a 15.3124
_cell_length_b 3.9311
_cell_length_c 9.2582
_cell_angle_alpha 90.00
_cell_angle_beta 98.86
_cell_angle_gamma 90.00
loop_
_symmetry_equiv_pos_as_xyz
'x,y,z'
'-x,-y,-z'
'-x,y,-z'
'x,-y,z'
'x+1/2,y+1/2,z'
'-x+1/2,-y+1/2,-z'
'-x+1/2,y+1/2,-z'
'x+1/2,-y+1/2,z'
loop_
_atom_site_label
_atom_site_fract_x
_atom_site_fract_y
_atom_site_fract_z
_atom_site_occupancy
Ba1 0.0503 0.0000 0.2686 1
Ti1 0.1223 0.5000 0.5862 1
Ti2 0.1663 0.5000 0.9363 1
Fe1 0.2416 0.5000 0.2630 1
O1 0.0000 0.5000 0.5000 1
O2 0.0690 0.5000 0.7996 1
O3 0.1278 0.5000 0.1141 1
O4 0.1315 0.0000 0.6116 1
O5 0.1654 0.5000 0.4139 1
O6 0.1996 0.0000 0.9308 1
O7 0.2347 0.5000 0.7414 1
```



Entry 8:
Computed, not measured: a geometry-optimized BaEuCo4O12 structure at the PBE+U level of DFT.

Output
The calculation puts the electronic total energy at -5.7056 eV/atom.

The structure in CIF format:
```
data_BaEuCo4O12
_chemical_formula_sum 'Ba1 Eu1 Co4 O12'
_symmetry_space_group_name_H-M 'P 4/m m m'
_symmetry_Int_Tables_number 123
_symmetry_space_group_name_Hall '-P 4 2'
_cell_length_a 5.3949
_cell_length_b 5.3949
_cell_length_c 7.6543
_cell_angle_alpha 90.00
_cell_angle_beta 90.00
_cell_angle_gamma 90.00
loop_
_atom_site_label
_atom_site_fract_x
_atom_site_fract_y
_atom_site_fract_z
_atom_site_occupancy
Ba1 0.0000 0.0000 0.0000 1
Eu1 0.5000 0.5000 0.5000 1
Co1 0.0000 0.5000 0.2478 1
O1 0.0000 0.5000 0.0000 1
O2 0.0000 0.5000 0.5000 1
O3 0.2615 0.2615 0.2709 1
```



Record-wise energy of formation values, in eV/f.u.: -44.04, -25.81, -44.87, -38.66, -60.99, -46.79, -60.85, -17.51
Record-wise M_tot values, in μB/f.u.: 5.00, 3.01, 13.00, 0.00, 10.00, 2.05, 2.01, 13.96